Model A:
A plane-wave DFT calculation with GGA-PBE was carried out for a relaxed Cu2GeSe3 crystal.

Unit cell a=4.042 b=11.853 c=5.578 alpha=90.00 beta=90.00 gamma=90.00
Space group Imm2 (No. 44)
Symmetry-distinct sites (fractional):
Cu  0.000  0.167  0.000
Ge  0.000  0.500  0.029
Se  0.000  0.000  0.254
Se  0.000  0.329  0.266

---

Model B:
A plane-wave DFT calculation with GGA-PBE was carried out for a relaxed Cu2GeSe3 crystal.

Unit cell a=7.956 b=23.831 c=11.205 alpha=90.00 beta=90.00 gamma=90.00
Space group Fdd2 (No. 43)
Symmetry-distinct sites (fractional):
Cu  0.000  0.000  0.000
Cu  0.000  0.000  0.494
Cu  0.006  0.333  0.502
Ge  0.011  0.168  0.500
Se  0.003  0.250  0.126
Se  0.004  0.083  0.121
Se  0.006  0.419  0.126

Computed properties:
Total moment ... 0.00 μB per formula unit

---

Relative to the most stable structure, the computed energies are model A 0; model B 7, all in meV per atom.

---

Model A:
A plane-wave DFT calculation with GGA-PBE was carried out for a relaxed Cu2GeTe3 crystal.

Unit cell a=8.553 b=25.610 c=12.078 alpha=90.00 beta=90.00 gamma=90.00
Space group Fdd2 (No. 43)
Symmetry-distinct sites (fractional):
Cu  0.000  0.000  0.000
Cu  0.000  0.000  0.495
Cu  0.006  0.333  0.502
Ge  0.009  0.168  0.500
Te  0.003  0.248  0.129
Te  0.008  0.083  0.119
Te  0.011  0.420  0.126

Computed properties:
Total moment ... 0.00 μB per formula unit

---

Model B:
A plane-wave DFT calculation with GGA-PBE was carried out for a relaxed Cu2GeTe3 crystal.

Unit cell a=4.352 b=12.762 c=5.952 alpha=90.00 beta=90.00 gamma=90.00
Space group Imm2 (No. 44)
Symmetry-distinct sites (fractional):
Cu  0.000  0.168  0.000
Ge  0.000  0.500  0.024
Te  0.000  0.000  0.244
Te  0.000  0.327  0.270

---

Relative to the most stable structure, the computed energies are model A 6; model B 0, all in meV per atom.

---

Model A:
A plane-wave DFT calculation with GGA-PBE was carried out for a relaxed RbLiCu2H3S2O10 crystal.

Unit cell a=5.829 b=6.239 c=7.633 alpha=106.30 beta=99.35 gamma=114.38
Space group P1 (No. 1)
Symmetry-distinct sites (fractional):
Rb  0.000  0.000  0.000
Li  0.237  0.779  0.492
Cu  0.503  0.494  0.495
Cu  0.971  0.104  0.542
H  0.255  0.556  0.725
H  0.753  0.443  0.252
H  0.907  0.444  0.451
S  0.427  0.781  0.204
S  0.569  0.226  0.786
O  0.198  0.474  0.583
O  0.266  0.077  0.709
O  0.317  0.943  0.298
O  0.329  0.685  0.994
O  0.338  0.557  0.270
O  0.658  0.043  0.689
O  0.660  0.305  0.995
O  0.669  0.454  0.733
O  0.726  0.928  0.274
O  0.811  0.523  0.395

Computed properties:
Total moment ... 1.00 μB per formula unit

---

Model B:
A plane-wave DFT calculation with GGA-PBE was carried out for a relaxed RbLiCu2H3S2O10 crystal.

Unit cell a=5.927 b=5.932 c=7.793 alpha=105.27 beta=97.38 gamma=118.98
Space group P1 (No. 1)
Symmetry-distinct sites (fractional):
Rb  0.000  0.000  0.000
Li  0.873  0.382  0.255
Cu  0.493  0.535  0.530
Cu  0.995  0.037  0.531
H  0.071  0.546  0.617
H  0.242  0.548  0.789
H  0.690  0.605  0.295
S  0.402  0.829  0.229
S  0.578  0.222  0.799
O  0.179  0.470  0.649
O  0.273  0.056  0.734
O  0.294  0.588  0.297
O  0.300  0.005  0.303
O  0.314  0.711  0.023
O  0.673  0.335  0.007
O  0.679  0.045  0.723
O  0.679  0.461  0.734
O  0.710  0.003  0.297
O  0.788  0.629  0.417

Computed properties:
Total moment ... 1.00 μB per formula unit

---

Relative to the most stable structure, the computed energies are model A 0; model B 23, all in meV per atom.

---

Model A:
A plane-wave DFT calculation with GGA-PBE was carried out for a relaxed RbLiCu2H3S2O10 crystal.

Unit cell a=6.202 b=6.364 c=7.963 alpha=68.03 beta=67.08 gamma=60.92
Space group P1 (No. 1)
Symmetry-distinct sites (fractional):
Rb  0.000  0.000  0.000
Li  0.340  0.864  0.454
Cu  0.420  0.265  0.496
Cu  0.820  0.267  0.496
H  0.212  0.298  0.281
H  0.750  0.788  0.715
H  0.875  0.737  0.513
S  0.381  0.428  0.811
S  0.591  0.632  0.188
O  0.182  0.221  0.416
O  0.275  0.301  0.753
O  0.297  0.393  0.014
O  0.298  0.692  0.713
O  0.309  0.729  0.267
O  0.672  0.303  0.752
O  0.674  0.671  0.986
O  0.693  0.342  0.274
O  0.695  0.730  0.268
O  0.777  0.869  0.581

Computed properties:
Total moment ... 1.00 μB per formula unit

---

Model B:
A plane-wave DFT calculation with GGA-PBE was carried out for a relaxed RbLiCu2H3S2O10 crystal.

Unit cell a=5.678 b=5.683 c=8.336 alpha=99.17 beta=108.68 gamma=107.20
Space group P1 (No. 1)
Symmetry-distinct sites (fractional):
Rb  0.000  0.000  0.000
Li  0.463  0.464  0.003
Cu  0.096  0.100  0.514
Cu  0.575  0.598  0.482
H  0.587  0.117  0.508
H  0.604  0.310  0.685
H  0.623  0.927  0.320
S  0.295  0.671  0.773
S  0.901  0.524  0.229
O  0.055  0.805  0.304
O  0.059  0.377  0.308
O  0.067  0.746  0.694
O  0.204  0.382  0.751
O  0.426  0.789  0.969
O  0.501  0.751  0.697
O  0.505  0.253  0.557
O  0.635  0.453  0.253
O  0.697  0.952  0.447
O  0.821  0.457  0.033

Computed properties:
Total moment ... 0.01 μB per formula unit

---

Relative to the most stable structure, the computed energies are model A 0; model B 19, all in meV per atom.

---

Model A:
A plane-wave DFT calculation with GGA-PBE was carried out for a relaxed Rb2MgCu4H5S4O20 crystal.

Unit cell a=6.505 b=8.558 c=9.275 alpha=62.58 beta=87.39 gamma=87.91
Space group P1 (No. 1)
Symmetry-distinct sites (fractional):
Rb  0.000  0.000  0.000
Rb  0.382  0.982  0.475
Mg  0.828  0.929  0.615
Cu  0.237  0.480  0.752
Cu  0.261  0.519  0.215
Cu  0.737  0.485  0.758
Cu  0.752  0.463  0.235
H  0.055  0.324  0.172
H  0.495  0.507  0.460
H  0.507  0.310  0.691
H  0.534  0.682  0.288
H  0.992  0.514  0.944
S  0.010  0.229  0.565
S  0.493  0.215  0.070
S  0.530  0.752  0.907
S  0.966  0.766  0.434
O  0.023  0.447  0.144
O  0.054  0.034  0.673
O  0.158  0.677  0.518
O  0.191  0.303  0.455
O  0.302  0.269  0.970
O  0.344  0.770  0.998
O  0.487  0.635  0.834
O  0.493  0.304  0.176
O  0.494  0.022  0.169
O  0.495  0.437  0.650
O  0.505  0.557  0.333
O  0.592  0.929  0.767
O  0.684  0.263  0.961
O  0.709  0.690  0.015
O  0.781  0.725  0.558
O  0.821  0.228  0.473
O  0.919  0.717  0.309
O  0.965  0.316  0.667
O  0.981  0.960  0.377
O  0.987  0.551  0.824

Computed properties:
Total moment ... 3.00 μB per formula unit

---

Model B:
A plane-wave DFT calculation with GGA-PBE was carried out for a relaxed Rb2MgCu4H5S4O20 crystal.

Unit cell a=6.276 b=8.336 c=9.166 alpha=111.29 beta=90.21 gamma=90.17
Space group P1 (No. 1)
Symmetry-distinct sites (fractional):
Rb  0.000  0.000  0.000
Rb  0.490  0.497  0.497
Mg  0.702  0.996  0.498
Cu  0.255  0.729  0.235
Cu  0.256  0.261  0.757
Cu  0.730  0.295  0.786
Cu  0.739  0.701  0.210
H  0.010  0.484  0.189
H  0.010  0.522  0.808
H  0.014  0.493  0.979
H  0.504  0.034  0.751
H  0.505  0.954  0.242
S  0.492  0.295  0.082
S  0.495  0.701  0.912
S  0.989  0.219  0.442
S  0.993  0.777  0.556
O  0.005  0.430  0.852
O  0.007  0.574  0.144
O  0.185  0.258  0.542
O  0.189  0.741  0.457
O  0.301  0.251  0.973
O  0.304  0.745  0.019
O  0.483  0.191  0.180
O  0.489  0.805  0.813
O  0.490  0.483  0.178
O  0.491  0.513  0.816
O  0.512  0.106  0.686
O  0.514  0.882  0.307
O  0.694  0.256  0.987
O  0.698  0.741  0.008
O  0.792  0.257  0.549
O  0.795  0.738  0.448
O  0.966  0.030  0.350
O  0.970  0.966  0.649
O  0.985  0.321  0.342
O  0.990  0.675  0.656

Computed properties:
Total moment ... 3.00 μB per formula unit

---

Model C:
A plane-wave DFT calculation with GGA-PBE was carried out for a relaxed Rb2MgCu4H5S4O20 crystal.

Unit cell a=6.182 b=8.368 c=9.040 alpha=110.15 beta=90.05 gamma=90.34
Space group P1 (No. 1)
Symmetry-distinct sites (fractional):
Rb  0.000  0.000  0.000
Rb  0.487  0.580  0.545
Mg  0.499  0.163  0.471
Cu  0.251  0.294  0.807
Cu  0.255  0.759  0.262
Cu  0.746  0.296  0.808
Cu  0.749  0.756  0.264
H  0.001  0.525  0.839
H  0.001  0.526  0.068
H  0.002  0.503  0.242
H  0.499  0.048  0.716
H  0.510  0.956  0.223
S  0.002  0.839  0.591
S  0.499  0.317  0.132
S  0.504  0.712  0.942
S  0.999  0.251  0.435
O  0.000  0.434  0.884
O  0.002  0.590  0.189
O  0.004  0.375  0.354
O  0.012  0.726  0.684
O  0.199  0.280  0.542
O  0.202  0.812  0.488
O  0.302  0.267  0.029
O  0.303  0.749  0.043
O  0.497  0.225  0.248
O  0.499  0.158  0.700
O  0.500  0.504  0.218
O  0.502  0.529  0.840
O  0.506  0.924  0.318
O  0.509  0.826  0.850
O  0.697  0.267  0.031
O  0.705  0.747  0.045
O  0.799  0.283  0.540
O  0.803  0.794  0.486
O  0.993  0.021  0.692
O  0.996  0.073  0.328

Computed properties:
Total moment ... 1.31 μB per formula unit

---

Model D:
A plane-wave DFT calculation with GGA-PBE was carried out for a relaxed Rb2MgCu4H5S4O20 crystal.

Unit cell a=6.373 b=8.448 c=9.275 alpha=64.16 beta=87.74 gamma=89.75
Space group P1 (No. 1)
Symmetry-distinct sites (fractional):
Rb  0.000  0.000  0.000
Rb  0.428  0.538  0.451
Mg  0.819  0.487  0.741
Cu  0.221  0.290  0.224
Cu  0.223  0.778  0.727
Cu  0.716  0.280  0.223
Cu  0.741  0.818  0.729
H  0.452  0.047  0.674
H  0.458  0.047  0.276
H  0.466  0.034  0.503
H  0.957  0.502  0.196
H  0.974  0.571  0.945
S  0.467  0.730  0.044
S  0.470  0.297  0.895
S  0.950  0.239  0.551
S  0.971  0.815  0.420
O  0.146  0.287  0.446
O  0.169  0.787  0.512
O  0.283  0.771  0.936
O  0.288  0.279  0.006
O  0.438  0.821  0.147
O  0.443  0.181  0.817
O  0.464  0.136  0.316
O  0.467  0.962  0.627
O  0.480  0.536  0.140
O  0.496  0.486  0.768
O  0.667  0.799  0.943
O  0.678  0.265  0.978
O  0.759  0.288  0.453
O  0.786  0.740  0.546
O  0.938  0.003  0.321
O  0.951  0.049  0.662
O  0.953  0.341  0.650
O  0.967  0.425  0.142
O  0.968  0.631  0.825
O  0.980  0.712  0.328

Computed properties:
Total moment ... 3.00 μB per formula unit

---

Relative to the most stable structure, the computed energies are model A 39; model B 0; model C 12; model D 7, all in meV per atom.

---

Model A:
A plane-wave DFT calculation with GGA-PBE was carried out for a relaxed MgTl2Cu2H2Se2O10 crystal.

Unit cell a=5.639 b=6.010 c=10.388 alpha=90.00 beta=105.20 gamma=90.00
Space group Pm (No. 6)
Symmetry-distinct sites (fractional):
Mg  0.000  0.000  0.000
Tl  0.159  0.000  0.610
Tl  0.605  0.500  0.892
Cu  0.166  0.239  0.284
H  0.523  0.000  0.418
H  0.832  0.500  0.231
Se  0.483  0.000  0.032
Se  0.663  0.500  0.492
O  0.271  0.213  0.978
O  0.342  0.000  0.400
O  0.377  0.500  0.368
O  0.599  0.500  0.640
O  0.647  0.000  0.910
O  0.811  0.270  0.466
O  0.982  0.500  0.200
O  0.987  0.000  0.185

Computed properties:
Total moment ... 0.00 μB per formula unit

---

Model B:
A plane-wave DFT calculation with GGA-PBE was carried out for a relaxed MgTl2Cu2H2Se2O10 crystal.

Unit cell a=5.604 b=5.781 c=10.385 alpha=90.00 beta=97.69 gamma=90.00
Space group Pm (No. 6)
Symmetry-distinct sites (fractional):
Mg  0.000  0.000  0.000
Tl  0.511  0.000  0.139
Tl  0.562  0.500  0.813
Cu  0.622  0.272  0.470
H  0.306  0.000  0.381
H  0.942  0.500  0.609
Se  0.051  0.500  0.156
Se  0.068  0.000  0.677
O  0.227  0.240  0.670
O  0.261  0.500  0.055
O  0.450  0.500  0.372
O  0.481  0.000  0.380
O  0.765  0.500  0.597
O  0.830  0.000  0.551
O  0.876  0.256  0.095
O  0.933  0.000  0.815

Computed properties:
Total moment ... 0.00 μB per formula unit

---

Relative to the most stable structure, the computed energies are model A 0; model B 57, all in meV per atom.